<A>
Below is crystalline BaLa2Co3O9 at its relaxed geometry, with properties calculated at the PBE with a Hubbard U level.

```
data_BaLa2Co3O9
_cell_length_a 5.562
_cell_length_b 8.776
_cell_length_c 8.708
_cell_angle_alpha 79.00
_cell_angle_beta 71.36
_cell_angle_gamma 108.53
_space_group_name_H-M_alt 'P 1'
_space_group_IT_number 1
_space_group_name_Hall 'P 1'
loop_
_atom_site_label
_atom_site_fract_x
_atom_site_fract_y
_atom_site_fract_z
La1 0.668 0.838 0.502
O1 0.175 0.346 0.997
O2 0.340 0.410 0.241
Co1 0.667 0.085 0.750
O3 0.178 0.850 0.494
Co2 0.000 0.250 0.249
La2 0.668 0.337 0.001
O4 0.822 0.651 0.006
Co3 0.666 0.584 0.252
O5 0.173 0.091 0.259
O6 0.661 0.091 0.258
O7 0.821 0.910 0.743
O8 0.651 0.585 0.759
O9 0.499 0.250 0.749
O10 0.998 0.750 0.252
La3 0.331 0.660 0.997
Ba1 0.000 0.501 0.500
Co4 0.001 0.751 0.749
O11 0.827 0.410 0.241
La4 0.337 0.168 0.494
O12 0.500 0.750 0.252
Co5 0.334 0.417 0.749
Co6 0.334 0.916 0.248
O13 0.500 0.004 0.004
O14 0.002 0.250 0.749
O15 0.346 0.910 0.743
O16 0.499 0.496 0.498
Ba2 0.000 0.000 0.000
O17 0.173 0.585 0.760
O18 0.826 0.154 0.502
```



<B>
Below is crystalline BaLa2Co3O9 at its relaxed geometry, with properties calculated at the PBE with a Hubbard U level.

```
data_BaLa2Co3O9
_cell_length_a 5.522
_cell_length_b 5.522
_cell_length_c 6.701
_cell_angle_alpha 90.00
_cell_angle_beta 90.00
_cell_angle_gamma 120.00
_space_group_name_H-M_alt 'P 1'
_space_group_IT_number 1
_space_group_name_Hall 'P 1'
loop_
_atom_site_label
_atom_site_fract_x
_atom_site_fract_y
_atom_site_fract_z
O1 0.172 0.344 0.346
Co1 0.667 0.333 0.835
Co2 0.000 0.000 0.500
O2 0.828 0.172 0.654
La1 0.333 0.667 0.665
Ba1 0.000 0.000 0.000
O3 0.344 0.172 0.654
O4 0.500 0.500 0.000
O5 0.828 0.656 0.654
Co3 0.333 0.667 0.165
O6 0.000 0.500 0.000
O7 0.656 0.828 0.346
O8 0.500 0.000 0.000
La2 0.667 0.333 0.335
O9 0.172 0.828 0.346
```



Most stable structure: <A>



<A>
Below is crystalline NiH2O2 at its relaxed geometry, with properties calculated at the PBE with a Hubbard U level.

Computed properties:
Largest piezoelectric modulus in C/m²: 1.239

```
data_NiH2O2
_cell_length_a 3.163
_cell_length_b 3.163
_cell_length_c 4.732
_cell_angle_alpha 84.36
_cell_angle_beta 84.36
_cell_angle_gamma 60.05
_space_group_name_H-M_alt 'P 1'
_space_group_IT_number 1
_space_group_name_Hall 'P 1'
loop_
_atom_site_label
_atom_site_fract_x
_atom_site_fract_y
_atom_site_fract_z
Ni1 0.048 0.952 0.000
O1 0.738 0.641 0.783
H1 0.780 0.609 0.579
H2 0.391 0.220 0.421
O2 0.359 0.262 0.217
```



<B>
Below is crystalline NiH2O2 at its relaxed geometry, with properties calculated at the PBE with a Hubbard U level.

```
data_NiH2O2
_cell_length_a 3.157
_cell_length_b 10.948
_cell_length_c 7.506
_cell_angle_alpha 96.93
_cell_angle_beta 77.96
_cell_angle_gamma 90.00
_space_group_name_H-M_alt 'P 1'
_space_group_IT_number 1
_space_group_name_Hall 'P 1'
loop_
_atom_site_label
_atom_site_fract_x
_atom_site_fract_y
_atom_site_fract_z
H1 0.365 0.106 0.272
H2 0.865 0.356 0.272
H3 0.635 0.394 0.728
H4 0.136 0.644 0.728
O1 0.569 0.405 0.861
Ni1 0.000 0.500 0.000
O2 0.930 0.345 0.139
O3 0.569 0.905 0.861
Ni2 0.500 0.750 0.000
H5 0.865 0.856 0.272
O4 0.069 0.155 0.860
O5 0.931 0.845 0.139
Ni3 0.500 0.250 0.000
O6 0.431 0.595 0.140
Ni4 0.000 0.000 0.000
H6 0.365 0.606 0.272
H7 0.135 0.144 0.728
H8 0.635 0.894 0.728
O7 0.431 0.095 0.139
O8 0.069 0.655 0.861
```



Most stable structure: <A>



<A>
Below is crystalline Li3FeO4 at its relaxed geometry, with properties calculated at the PBE with a Hubbard U level.

```
data_Li3FeO4
_cell_length_a 5.017
_cell_length_b 10.125
_cell_length_c 5.841
_cell_angle_alpha 73.17
_cell_angle_beta 90.01
_cell_angle_gamma 79.35
_space_group_name_H-M_alt 'P 1'
_space_group_IT_number 1
_space_group_name_Hall 'P 1'
loop_
_atom_site_label
_atom_site_fract_x
_atom_site_fract_y
_atom_site_fract_z
Li1 0.501 0.500 0.753
O1 0.117 0.614 0.707
O2 0.887 0.385 0.824
O3 0.839 0.883 0.812
Li2 0.247 0.750 0.878
Li3 0.749 0.748 0.132
Li4 0.754 0.254 0.126
Li5 0.250 0.249 0.879
O4 0.662 0.614 0.946
Li6 0.000 0.999 0.005
Li7 0.749 0.748 0.626
O5 0.384 0.883 0.573
O6 0.887 0.385 0.298
O7 0.162 0.112 0.197
O8 0.348 0.385 0.061
Li8 0.501 0.500 0.254
Fe1 0.006 0.499 0.004
O9 0.117 0.614 0.185
O10 0.339 0.386 0.561
Fe2 0.494 0.999 0.754
O11 0.658 0.612 0.447
O12 0.614 0.113 0.460
O13 0.843 0.885 0.311
Li9 0.000 0.999 0.503
Li10 0.250 0.249 0.378
O14 0.152 0.113 0.697
Li11 0.741 0.246 0.630
Fe3 0.502 0.998 0.254
O15 0.384 0.883 0.051
O16 0.613 0.112 0.934
Fe4 0.999 0.499 0.504
Li12 0.246 0.750 0.378
```



<B>
Below is crystalline Li3FeO4 at its relaxed geometry, with properties calculated at the PBE with a Hubbard U level.

```
data_Li3FeO4
_cell_length_a 5.207
_cell_length_b 5.770
_cell_length_c 5.207
_cell_angle_alpha 89.99
_cell_angle_beta 67.40
_cell_angle_gamma 90.04
_space_group_name_H-M_alt 'P 1'
_space_group_IT_number 1
_space_group_name_Hall 'P 1'
loop_
_atom_site_label
_atom_site_fract_x
_atom_site_fract_y
_atom_site_fract_z
O1 0.299 0.500 0.300
O2 0.722 0.500 0.722
O3 0.767 0.769 0.227
O4 0.222 0.000 0.222
Li1 0.469 0.000 0.469
O5 0.800 0.000 0.799
Li2 0.969 0.500 0.969
Li3 0.496 0.740 0.007
O6 0.728 0.270 0.268
Li4 0.506 0.241 0.996
O7 0.268 0.730 0.728
Fe1 0.513 0.500 0.512
Li5 0.006 0.260 0.496
Li6 0.996 0.759 0.506
Fe2 0.012 0.000 0.012
O8 0.227 0.231 0.767
```



Most stable structure: <A>



<A>
Below is crystalline MgFe4Cu2O8 at its relaxed geometry, with properties calculated at the PBE with a Hubbard U level.

```
data_MgFe4Cu2O8
_cell_length_a 6.470
_cell_length_b 5.993
_cell_length_c 5.865
_cell_angle_alpha 60.71
_cell_angle_beta 63.05
_cell_angle_gamma 58.90
_space_group_name_H-M_alt 'P 1'
_space_group_IT_number 1
_space_group_name_Hall 'P 1'
loop_
_atom_site_label
_atom_site_fract_x
_atom_site_fract_y
_atom_site_fract_z
O1 0.904 0.890 0.861
O2 0.346 0.360 0.389
O3 0.906 0.370 0.862
Fe1 0.125 0.625 0.625
Fe2 0.146 0.276 0.289
Cu1 0.625 0.625 0.125
O4 0.346 0.360 0.905
Fe3 0.625 0.125 0.625
Mg1 0.625 0.125 0.125
O5 0.904 0.890 0.345
Cu2 0.625 0.625 0.625
O6 0.344 0.880 0.388
O7 0.454 0.845 0.850
Fe4 0.104 0.974 0.961
O8 0.796 0.405 0.400
```



<B>
Below is crystalline MgFe4Cu2O8 at its relaxed geometry, with properties calculated at the PBE with a Hubbard U level.

```
data_MgFe4Cu2O8
_cell_length_a 6.231
_cell_length_b 6.231
_cell_length_c 6.199
_cell_angle_alpha 119.76
_cell_angle_beta 119.77
_cell_angle_gamma 87.97
_space_group_name_H-M_alt 'P 1'
_space_group_IT_number 1
_space_group_name_Hall 'P 1'
loop_
_atom_site_label
_atom_site_fract_x
_atom_site_fract_y
_atom_site_fract_z
O1 0.143 0.450 0.297
O2 0.112 0.888 0.290
Fe1 0.866 0.673 0.269
O3 0.582 0.826 0.204
Fe2 0.327 0.134 0.731
O4 0.628 0.372 0.796
O5 0.174 0.418 0.796
O6 0.550 0.857 0.703
O7 0.112 0.888 0.710
Fe3 0.381 0.619 0.745
Cu1 0.124 0.876 0.000
Mg1 0.836 0.164 0.000
Fe4 0.381 0.619 0.255
O8 0.628 0.372 0.204
Cu2 0.678 0.323 0.500
```



Most stable structure: <B>



<A>
Below is crystalline Mn2ZnO4 at its relaxed geometry, with properties calculated at the PBE with a Hubbard U level.

```
data_Mn2ZnO4
_cell_length_a 5.165
_cell_length_b 5.165
_cell_length_c 9.734
_cell_angle_alpha 90.00
_cell_angle_beta 90.00
_cell_angle_gamma 146.27
_space_group_name_H-M_alt 'P 1'
_space_group_IT_number 1
_space_group_name_Hall 'P 1'
loop_
_atom_site_label
_atom_site_fract_x
_atom_site_fract_y
_atom_site_fract_z
Mn1 0.868 0.132 0.929
Mn2 0.132 0.868 0.429
O1 0.040 0.960 0.250
O2 0.222 0.778 0.888
O3 0.500 0.500 0.000
Mn3 0.132 0.868 0.071
O4 0.222 0.778 0.612
O5 0.960 0.040 0.750
O6 0.500 0.500 0.500
O7 0.778 0.222 0.388
O8 0.778 0.222 0.112
Zn1 0.610 0.390 0.750
Zn2 0.390 0.610 0.250
Mn4 0.868 0.132 0.571
```



<B>
Below is crystalline Mn2ZnO4 at its relaxed geometry, with properties calculated at the PBE with a Hubbard U level.

```
data_Mn2ZnO4
_cell_length_a 6.123
_cell_length_b 5.173
_cell_length_c 10.361
_cell_angle_alpha 88.63
_cell_angle_beta 90.00
_cell_angle_gamma 90.00
_space_group_name_H-M_alt 'P 1'
_space_group_IT_number 1
_space_group_name_Hall 'P 1'
loop_
_atom_site_label
_atom_site_fract_x
_atom_site_fract_y
_atom_site_fract_z
O1 0.235 0.139 0.098
O2 0.756 0.228 0.101
Zn1 0.755 0.132 0.747
O3 0.243 0.764 0.606
O4 0.256 0.772 0.899
O5 0.990 0.294 0.864
Mn1 0.253 0.494 0.020
Mn2 0.003 0.004 0.487
O6 0.766 0.854 0.597
Zn2 0.255 0.868 0.253
O7 0.266 0.146 0.403
Zn3 0.749 0.494 0.246
O8 0.013 0.712 0.366
O9 0.506 0.672 0.410
Mn3 0.753 0.506 0.980
Zn4 0.249 0.506 0.754
O10 0.513 0.288 0.634
O11 0.006 0.328 0.590
O12 0.490 0.706 0.136
Mn4 0.497 0.004 0.011
O13 0.735 0.861 0.902
O14 0.987 0.663 0.091
O15 0.743 0.236 0.394
Mn5 0.503 0.996 0.513
Mn6 0.997 0.996 0.989
O16 0.487 0.337 0.909
Mn7 0.747 0.507 0.515
Mn8 0.247 0.493 0.485
```



Most stable structure: <A>



<A>
Below is crystalline LiCrB2O5 at its relaxed geometry, with properties calculated at the PBE with a Hubbard U level.

```
data_LiCrB2O5
_cell_length_a 9.583
_cell_length_b 5.642
_cell_length_c 6.946
_cell_angle_alpha 72.91
_cell_angle_beta 90.00
_cell_angle_gamma 90.00
_space_group_name_H-M_alt 'P 1'
_space_group_IT_number 1
_space_group_name_Hall 'P 1'
loop_
_atom_site_label
_atom_site_fract_x
_atom_site_fract_y
_atom_site_fract_z
B1 0.912 0.261 0.452
Li1 0.563 0.323 0.214
O1 0.053 0.263 0.463
B2 0.115 0.671 0.913
O2 0.201 0.572 0.075
Cr1 0.173 0.215 0.246
Li2 0.937 0.823 0.214
B3 0.412 0.239 0.548
O3 0.701 0.928 0.925
O4 0.553 0.237 0.537
O5 0.663 0.853 0.271
O6 0.505 0.294 0.929
O7 0.447 0.763 0.463
Li3 0.063 0.177 0.786
O8 0.839 0.165 0.628
O9 0.339 0.335 0.372
O10 0.299 0.072 0.075
O11 0.163 0.647 0.729
O12 0.337 0.147 0.729
B4 0.588 0.761 0.452
B5 0.885 0.329 0.087
Cr2 0.327 0.715 0.246
O13 0.995 0.794 0.929
O14 0.661 0.665 0.628
Li4 0.437 0.677 0.786
O15 0.837 0.353 0.271
O16 0.799 0.428 0.925
O17 0.161 0.835 0.372
Cr3 0.827 0.785 0.754
O18 0.495 0.706 0.071
B6 0.385 0.171 0.913
O19 0.005 0.206 0.071
B7 0.088 0.739 0.548
O20 0.947 0.737 0.537
Cr4 0.673 0.285 0.754
B8 0.615 0.829 0.087
```



<B>
Below is crystalline LiCrB2O5 at its relaxed geometry, with properties calculated at the PBE with a Hubbard U level.

```
data_LiCrB2O5
_cell_length_a 10.676
_cell_length_b 5.405
_cell_length_c 12.031
_cell_angle_alpha 79.54
_cell_angle_beta 90.00
_cell_angle_gamma 90.00
_space_group_name_H-M_alt 'P 1'
_space_group_IT_number 1
_space_group_name_Hall 'P 1'
loop_
_atom_site_label
_atom_site_fract_x
_atom_site_fract_y
_atom_site_fract_z
Cr1 0.124 0.745 0.741
Li1 0.120 0.119 0.438
O1 0.446 0.887 0.744
O2 0.323 0.214 0.900
O3 0.701 0.070 0.773
O4 0.707 0.406 0.295
Li2 0.631 0.380 0.063
B1 0.871 0.706 0.334
B2 0.880 0.694 0.834
O5 0.455 0.616 0.223
Li3 0.369 0.620 0.937
O6 0.371 0.893 0.550
O7 0.073 0.813 0.580
O8 0.390 0.884 0.050
B3 0.371 0.145 0.005
Cr2 0.877 0.230 0.761
Li4 0.131 0.120 0.937
O9 0.793 0.906 0.295
Li5 0.880 0.881 0.562
B4 0.371 0.794 0.666
O10 0.129 0.393 0.550
O11 0.573 0.687 0.420
O12 0.177 0.714 0.900
B5 0.629 0.206 0.334
O13 0.110 0.384 0.050
B6 0.380 0.806 0.166
O14 0.201 0.430 0.227
Li6 0.620 0.381 0.562
O15 0.890 0.616 0.950
O16 0.395 0.321 0.071
B7 0.387 0.157 0.509
O17 0.799 0.570 0.773
O18 0.293 0.594 0.705
Li7 0.869 0.880 0.063
O19 0.554 0.113 0.256
O20 0.147 0.757 0.402
O21 0.647 0.743 0.598
B8 0.129 0.294 0.666
O22 0.946 0.613 0.256
B9 0.120 0.306 0.166
O23 0.629 0.107 0.450
O24 0.610 0.116 0.950
B10 0.620 0.194 0.834
O25 0.853 0.243 0.598
Cr3 0.377 0.270 0.239
Li8 0.380 0.619 0.438
O26 0.677 0.786 0.100
B11 0.871 0.355 0.995
Cr4 0.624 0.755 0.259
B12 0.113 0.657 0.509
Cr5 0.376 0.245 0.741
O27 0.927 0.187 0.420
O28 0.895 0.179 0.929
Cr6 0.123 0.770 0.239
O29 0.427 0.313 0.580
O30 0.955 0.884 0.777
Cr7 0.623 0.730 0.761
O31 0.207 0.094 0.705
B13 0.887 0.343 0.491
O32 0.353 0.257 0.402
O33 0.045 0.116 0.223
O34 0.871 0.607 0.450
B14 0.629 0.855 0.995
O35 0.545 0.384 0.777
B15 0.129 0.645 0.005
O36 0.299 0.930 0.227
O37 0.605 0.679 0.929
B16 0.613 0.843 0.491
O38 0.105 0.821 0.071
O39 0.054 0.387 0.744
Cr8 0.876 0.255 0.259
O40 0.823 0.286 0.100
```



Most stable structure: <A>